DFT (GGA+U) results for a relaxed Li3Fe2P2C2O14 crystal.

Properties
total magnetization: 18.00 Bohr magnetons per cell
SG: P-1, No. 2
formation enthalpy at 0 K: -2.18 eV/atom
offset from the most stable computed form: 1 meV per atom

Cell lengths 8.262, 8.279, 9.444 Å; angles 106.58, 107.27, 103.21 degrees
Element x y z (fractional)
1 O 0.278 0.021 0.837
2 O 0.929 0.164 0.527
3 O 0.865 0.615 0.095
4 P 0.693 0.452 0.424
5 O 0.232 0.470 0.168
6 O 0.071 0.836 0.473
7 O 0.224 0.658 0.676
8 O 0.339 0.125 0.100
9 Fe 0.443 0.695 0.329
10 C 0.247 0.495 0.041
11 O 0.100 0.032 0.308
12 O 0.442 0.670 0.532
13 Fe 0.934 0.192 0.334
14 O 0.135 0.385 0.905
15 O 0.352 0.095 0.575
16 O 0.558 0.330 0.468
17 O 0.832 0.609 0.580
18 O 0.580 0.518 0.303
19 O 0.380 0.636 0.070
20 O 0.892 0.136 0.074
21 O 0.620 0.364 0.930
22 Li 0.717 0.753 0.719
23 C 0.753 0.505 0.959
24 O 0.776 0.342 0.324
25 O 0.168 0.391 0.420
26 Li 0.560 0.307 0.104
27 Li 0.931 0.192 0.894
28 C 0.757 0.994 0.040
29 O 0.731 0.172 0.689
30 O 0.768 0.530 0.832
31 O 0.722 0.979 0.163
32 O 0.269 0.828 0.311
33 O 0.420 0.482 0.697
34 P 0.200 0.950 0.420
35 O 0.648 0.905 0.425
36 O 0.108 0.864 0.926
37 Li 0.283 0.247 0.281
38 Fe 0.557 0.305 0.671
39 C 0.243 0.006 0.960
40 O 0.900 0.968 0.692
41 Fe 0.066 0.808 0.666
42 P 0.307 0.548 0.576
43 P 0.800 0.050 0.580
44 Li 0.069 0.808 0.106
45 O 0.661 0.875 0.900
46 Li 0.440 0.693 0.896